First-principles (PBE) data for a geometry-optimized EuCdSn structure, as listed in Materials Project.

## Properties
Its crystal system is hexagonal. The value obtained for the energy relative to the elements is -0.560 eV/atom. The raw total energy comes out at -33.7 eV/cell. As for the size of the total moment: 14.01 Bohr magnetons per cell.

CIF file:
```
data_EuCdSn
_chemical_formula_sum 'Eu2 Cd2 Sn2'
_symmetry_space_group_name_H-M 'P 63 m c'
_symmetry_Int_Tables_number 186
_symmetry_space_group_name_Hall 'P 6c -2c'
_cell_length_a 4.9923
_cell_length_b 4.9923
_cell_length_c 7.8563
_cell_angle_alpha 90.00
_cell_angle_beta 90.00
_cell_angle_gamma 120.00
loop_
_atom_site_label
_atom_site_fract_x
_atom_site_fract_y
_atom_site_fract_z
_atom_site_occupancy
Eu1 0.0000 0.0000 0.0000 1
Cd1 0.3333 0.6667 0.2037 1
Sn1 0.3333 0.6667 0.7896 1
```